Below is a relaxed Dy12Si5S28 crystal, with properties calculated at the PBE level.

Properties
Its electronic total energy is -269.5 eV for the cell shown. The calculation puts the calculated formation energy at -1.90 eV per atom.

Lattice parameters (Å, degrees): 9.863 11.295 11.353 119.80 115.74 90.00
Element x y z (fractional)
Dy: 0.000 0.000 0.000
Dy: 0.001 0.474 0.985
Dy: 0.241 0.018 0.533
Dy: 0.252 0.497 0.525
Dy: 0.350 0.304 0.104
Dy: 0.358 0.797 0.126
Dy: 0.470 0.422 0.881
Dy: 0.485 0.942 0.886
Dy: 0.758 0.550 0.632
Dy: 0.779 0.073 0.642
Dy: 0.885 0.698 0.396
Dy: 0.897 0.188 0.413
Si: 0.122 0.756 0.760
Si: 0.456 0.662 0.426
Si: 0.457 0.162 0.427
Si: 0.788 0.247 0.094
Si: 0.791 0.746 0.091
S: 0.013 0.249 0.249
S: 0.020 0.741 0.234
S: 0.036 0.213 0.930
S: 0.039 0.719 0.907
S: 0.201 0.791 0.605
S: 0.213 0.297 0.594
S: 0.229 0.011 0.277
S: 0.229 0.515 0.282
S: 0.277 0.984 0.992
S: 0.290 0.509 0.017
S: 0.352 0.688 0.843
S: 0.382 0.171 0.849
S: 0.451 0.342 0.416
S: 0.461 0.853 0.437
S: 0.536 0.700 0.655
S: 0.537 0.199 0.653
S: 0.601 0.044 0.343
S: 0.606 0.548 0.350
S: 0.636 0.705 0.162
S: 0.646 0.214 0.181
S: 0.707 0.556 0.864
S: 0.713 0.058 0.867
S: 0.789 0.433 0.093
S: 0.790 0.932 0.093
S: 0.866 0.335 0.670
S: 0.890 0.829 0.682
S: 0.953 0.996 0.500
S: 0.976 0.532 0.531

***

Below is a relaxed Ca2Ag2O5 crystal, with properties calculated at the PBE level.

Properties
Its electronic total energy is -91.1 eV for the cell shown. The calculation puts the calculated formation energy at -1.62 eV per atom.

Lattice parameters (Å, degrees): 5.963 9.845 4.092 90.00 90.00 90.00
Element x y z (fractional)
Ca: 0.156 0.139 0.000
Ca: 0.344 0.639 0.000
Ca: 0.656 0.361 0.000
Ca: 0.844 0.861 0.000
Ag: 0.191 0.400 0.500
Ag: 0.309 0.900 0.500
Ag: 0.691 0.100 0.500
Ag: 0.809 0.600 0.500
O: 0.000 0.000 0.500
O: 0.128 0.680 0.500
O: 0.241 0.386 0.000
O: 0.259 0.886 0.000
O: 0.372 0.180 0.500
O: 0.500 0.500 0.500
O: 0.628 0.820 0.500
O: 0.741 0.114 0.000
O: 0.759 0.614 0.000
O: 0.872 0.320 0.500

***

Below is a relaxed NbH4 crystal, with properties calculated at the PBE level.

Properties
Its electronic total energy is -21.7 eV for the cell shown. The calculation puts the calculated formation energy at 0.24 eV per atom.

Lattice parameters (Å, degrees): 3.780 3.780 3.780 109.47 109.47 109.47
Element x y z (fractional)
Nb: 0.000 0.000 0.000
H: 0.000 0.000 0.500
H: 0.000 0.500 0.000
H: 0.500 0.000 0.000
H: 0.500 0.500 0.500

***

Below is a relaxed Bi2Br2O crystal, with properties calculated at the PBE level.

Properties
Its electronic total energy is -17.0 eV for the cell shown. The calculation puts the calculated formation energy at -0.33 eV per atom.

Lattice parameters (Å, degrees): 3.252 3.252 14.654 90.00 90.00 90.00
Element x y z (fractional)
Bi: 0.000 0.000 0.143
Bi: 0.000 0.000 0.857
Br: 0.000 0.000 0.353
Br: 0.000 0.000 0.647
O: 0.000 0.000 0.000

***

Below is a relaxed K3TaF8 crystal, with properties calculated at the PBE level.

Properties
The value obtained for the piezoelectric modulus e_max is 0.380 C/m². Its electronic total energy is -135.6 eV for the cell shown. The calculation puts the calculated formation energy at -3.42 eV per atom.

Lattice parameters (Å, degrees): 8.421 8.421 6.383 90.00 90.00 120.00
Element x y z (fractional)
K: 0.153 0.306 0.000
K: 0.153 0.847 0.000
K: 0.306 0.153 0.500
K: 0.694 0.847 0.000
K: 0.847 0.153 0.500
K: 0.847 0.694 0.500
Ta: 0.333 0.667 0.492
Ta: 0.667 0.333 0.992
F: 0.000 0.000 0.258
F: 0.000 0.000 0.758
F: 0.127 0.564 0.288
F: 0.202 0.405 0.570
F: 0.202 0.798 0.570
F: 0.333 0.667 0.804
F: 0.405 0.202 0.070
F: 0.436 0.564 0.288
F: 0.436 0.873 0.288
F: 0.564 0.127 0.788
F: 0.564 0.436 0.788
F: 0.595 0.798 0.570
F: 0.667 0.333 0.304
F: 0.798 0.202 0.070
F: 0.798 0.595 0.070
F: 0.873 0.436 0.788

***

Below is a relaxed Na3Hg crystal, with properties calculated at the PBE level.

Properties
Its electronic total energy is -4.8 eV for the cell shown. The calculation puts the calculated formation energy at -0.13 eV per atom.

Lattice parameters (Å, degrees): 6.092 6.092 6.092 133.39 133.39 68.04
Element x y z (fractional)
Na: 0.000 0.000 0.000
Na: 0.250 0.750 0.500
Na: 0.750 0.250 0.500
Hg: 0.500 0.500 0.000

***

Below is a relaxed BaSrSmSbO6 crystal, with properties calculated at the PBE level.

Properties
Its electronic total energy is -136.8 eV for the cell shown. For the energy above the most stable polymorph in this dataset, the calculation gives 0.00 eV per formula unit. The calculation puts the calculated formation energy at -3.04 eV per atom.

Lattice parameters (Å, degrees): 6.029 6.034 8.519 90.27 90.28 90.15
Element x y z (fractional)
Ba: 0.004 0.017 0.250
Ba: 0.996 0.983 0.750
Sr: 0.495 0.528 0.252
Sr: 0.505 0.472 0.748
Sm: 0.000 0.500 0.500
Sm: 0.500 0.000 0.000
Sb: 0.000 0.500 0.000
Sb: 0.500 0.000 0.500
O: 0.073 0.500 0.768
O: 0.208 0.759 0.031
O: 0.240 0.792 0.476
O: 0.261 0.296 0.039
O: 0.301 0.266 0.463
O: 0.448 0.030 0.733
O: 0.552 0.970 0.267
O: 0.699 0.734 0.537
O: 0.739 0.704 0.961
O: 0.760 0.208 0.524
O: 0.792 0.241 0.969
O: 0.927 0.500 0.232

***

Below is a relaxed PuSe crystal, with properties calculated at the PBE level.

Properties
Its electronic total energy is -20.9 eV for the cell shown. The calculation puts the calculated formation energy at -1.80 eV per atom.

Lattice parameters (Å, degrees): 4.160 4.160 4.160 60.00 60.00 60.00
Element x y z (fractional)
Pu: 0.000 0.000 0.000
Se: 0.500 0.500 0.500

***

Below is a relaxed Sm3MgBiRu4O14 crystal, with properties calculated at the PBE level.

Properties
Its electronic total energy is -167.5 eV for the cell shown. For the energy above the most stable polymorph in this dataset, the calculation gives 0.92 eV per formula unit. The calculation puts the calculated formation energy at -2.22 eV per atom.

Lattice parameters (Å, degrees): 7.420 7.438 7.438 60.56 60.39 60.43
Element x y z (fractional)
Sm: 0.000 0.000 0.000
Sm: 0.001 0.469 0.528
Sm: 0.027 0.488 0.014
Mg: 0.291 0.747 0.277
Bi: 0.535 0.468 0.000
Ru: 0.009 0.998 0.526
Ru: 0.528 0.997 0.526
Ru: 0.535 0.476 0.526
Ru: 0.535 0.996 0.005
O: 0.155 0.635 0.163
O: 0.183 0.080 0.609
O: 0.184 0.650 0.602
O: 0.185 0.071 0.178
O: 0.439 0.323 0.853
O: 0.449 0.320 0.442
O: 0.453 0.917 0.844
O: 0.609 0.080 0.182
O: 0.609 0.654 0.607
O: 0.615 0.655 0.183
O: 0.850 0.915 0.445
O: 0.861 0.323 0.427
O: 0.862 0.899 0.853
O: 0.905 0.365 0.893

***

Below is a relaxed Ho2Ge2Rh crystal, with properties calculated at the PBE level.

Properties
Its electronic total energy is -61.0 eV for the cell shown. The calculation puts the calculated formation energy at -0.94 eV per atom.

Lattice parameters (Å, degrees): 5.672 5.672 10.266 114.90 114.90 44.48
Element x y z (fractional)
Ho: 0.008 0.008 0.330
Ho: 0.187 0.187 0.116
Ho: 0.813 0.813 0.884
Ho: 0.992 0.992 0.670
Ge: 0.357 0.357 0.442
Ge: 0.478 0.478 0.116
Ge: 0.522 0.522 0.884
Ge: 0.643 0.643 0.558
Rh: 0.274 0.274 0.657
Rh: 0.726 0.726 0.343

***

Below is a relaxed MgTe2MoW2Se2S2 crystal, with properties calculated at the PBE level.

Properties
Its electronic total energy is -63.9 eV for the cell shown. For the energy above the most stable polymorph in this dataset, the calculation gives 0.00 eV per formula unit. The calculation puts the calculated formation energy at -0.50 eV per atom.

Lattice parameters (Å, degrees): 3.342 3.342 37.025 90.23 90.23 60.00
Element x y z (fractional)
Mg: 0.000 0.000 0.000
Te: 0.002 0.002 0.708
Te: 0.998 0.998 0.605
Mo: 0.333 0.333 0.656
W: 0.001 0.001 0.878
W: 0.333 0.333 0.124
Se: 0.001 0.001 0.169
Se: 0.998 0.998 0.079
S: 0.333 0.333 0.837
S: 0.335 0.335 0.919

***

Below is a relaxed DyCo5Si3 crystal, with properties calculated at the PBE level.

Properties
Its electronic total energy is -371.8 eV for the cell shown. The calculation puts the calculated formation energy at -0.59 eV per atom.

Lattice parameters (Å, degrees): 14.730 14.730 3.676 90.00 90.00 120.00
Element x y z (fractional)
Dy: 0.101 0.707 0.250
Dy: 0.293 0.394 0.250
Dy: 0.394 0.101 0.750
Dy: 0.606 0.899 0.250
Dy: 0.707 0.606 0.750
Dy: 0.899 0.293 0.750
Co: 0.031 0.897 0.250
Co: 0.046 0.268 0.250
Co: 0.074 0.534 0.750
Co: 0.103 0.134 0.250
Co: 0.134 0.031 0.750
Co: 0.147 0.414 0.750
Co: 0.222 0.954 0.250
Co: 0.226 0.573 0.250
Co: 0.267 0.853 0.750
Co: 0.268 0.222 0.750
Co: 0.348 0.774 0.250
Co: 0.414 0.267 0.250
Co: 0.427 0.652 0.250
Co: 0.460 0.926 0.750
Co: 0.466 0.540 0.750
Co: 0.534 0.460 0.250
Co: 0.540 0.074 0.250
Co: 0.573 0.348 0.750
Co: 0.586 0.733 0.750
Co: 0.652 0.226 0.750
Co: 0.732 0.778 0.250
Co: 0.733 0.147 0.250
Co: 0.774 0.427 0.750
Co: 0.778 0.046 0.750
Co: 0.853 0.586 0.250
Co: 0.866 0.969 0.250
Co: 0.897 0.866 0.750
Co: 0.926 0.466 0.250
Co: 0.954 0.732 0.750
Co: 0.969 0.103 0.750
Si: 0.062 0.433 0.250
Si: 0.121 0.872 0.750
Si: 0.128 0.249 0.750
Si: 0.239 0.682 0.750
Si: 0.249 0.121 0.250
Si: 0.318 0.557 0.750
Si: 0.371 0.938 0.250
Si: 0.433 0.371 0.750
Si: 0.443 0.761 0.750
Si: 0.557 0.239 0.250
Si: 0.567 0.629 0.250
Si: 0.629 0.062 0.750
Si: 0.682 0.443 0.250
Si: 0.751 0.879 0.750
Si: 0.761 0.318 0.250
Si: 0.872 0.751 0.250
Si: 0.879 0.128 0.250
Si: 0.938 0.567 0.750

***

Below is a relaxed RbLuO2 crystal, with properties calculated at the PBE level.

Properties
Its electronic total energy is -26.4 eV for the cell shown. The calculation puts the calculated formation energy at -3.11 eV per atom.

Lattice parameters (Å, degrees): 6.820 6.820 6.820 29.03 29.03 29.03
Element x y z (fractional)
Rb: 0.000 0.000 0.000
Lu: 0.500 0.500 0.500
O: 0.224 0.224 0.224
O: 0.776 0.776 0.776

***

Below is a relaxed Y2HgO4 crystal, with properties calculated at the PBE level.

Properties
Its electronic total energy is -102.8 eV for the cell shown. For the energy above the most stable polymorph in this dataset, the calculation gives 0.00 eV per formula unit. The calculation puts the calculated formation energy at -3.02 eV per atom.

Lattice parameters (Å, degrees): 7.102 7.102 10.161 121.20 121.20 29.78
Element x y z (fractional)
Y: 0.119 0.119 0.462
Y: 0.341 0.341 0.201
Y: 0.659 0.659 0.799
Y: 0.881 0.881 0.538
Hg: 0.387 0.387 0.839
Hg: 0.613 0.613 0.161
O: 0.082 0.082 0.653
O: 0.267 0.267 0.388
O: 0.297 0.297 0.945
O: 0.465 0.465 0.718
O: 0.535 0.535 0.282
O: 0.703 0.703 0.055
O: 0.733 0.733 0.612
O: 0.918 0.918 0.347

***

Below is a relaxed K2OsBr6 crystal, with properties calculated at the PBE level.

Properties
Its electronic total energy is -31.2 eV for the cell shown. The calculation puts the calculated formation energy at -1.24 eV per atom.

Lattice parameters (Å, degrees): 7.447 7.447 7.447 60.00 60.00 60.00
Element x y z (fractional)
K: 0.250 0.250 0.250
K: 0.750 0.750 0.750
Os: 0.000 0.000 0.000
Br: 0.238 0.238 0.762
Br: 0.238 0.762 0.238
Br: 0.238 0.762 0.762
Br: 0.762 0.238 0.238
Br: 0.762 0.238 0.762
Br: 0.762 0.762 0.238